[1]
The following is a DFT calculation (PBE) of LiCaSi2 after structural relaxation.

Formation enthalpy at 0 K, eV/atom: -0.3736
Mass density, g/cm3: 2.1

Cell: 3.8049 7.9358 10.6588 Å, 90.00 90.00 90.00°
With the nearest neighbours (Å) after each atom.
Atoms (fractional coordinates):
Li 0.2500 0.9985 0.3882  5 Si 2.64-2.72
Li 0.7500 0.0015 0.6118  5 Si 2.64-2.72
Li 0.2500 0.4985 0.1118  5 Si 2.64-2.72
Li 0.7500 0.5015 0.8882  5 Si 2.64-2.72
Ca 0.2500 0.1341 0.8642  9 Si 3.08-3.32
Ca 0.7500 0.8659 0.1358  9 Si 3.08-3.32
Ca 0.2500 0.6341 0.6358  9 Si 3.08-3.32
Ca 0.7500 0.3659 0.3642  9 Si 3.08-3.32
Si 0.7500 0.2687 0.0675  2 Si 2.36
Si 0.2500 0.7313 0.9325  2 Si 2.36
Si 0.7500 0.7687 0.4325  2 Si 2.36
Si 0.2500 0.2313 0.5675  2 Si 2.36
Si 0.7500 0.8332 0.8255  2 Si 2.36, 1 Li 2.64
Si 0.2500 0.1668 0.1745  2 Si 2.36, 1 Li 2.64
Si 0.7500 0.3332 0.6745  2 Si 2.36, 1 Li 2.64
Si 0.2500 0.6668 0.3255  2 Si 2.36, 1 Li 2.64

---

[2]
The following is a DFT calculation (PBE) of Er2S3O20 after structural relaxation.

Total magnetization, μB per formula unit: 15.992
Formation enthalpy at 0 K, eV/atom: -1.1515
Mass density, g/cm3: 3.1

Cell: 7.4794 7.4794 18.4085 Å, 81.50 81.50 51.99°
With the nearest neighbours (Å) after each atom.
Atoms (fractional coordinates):
Er 0.1509 0.1824 0.1046  7 O 2.21-2.42
Er 0.8176 0.8491 0.3954  7 O 2.21-2.42
Er 0.8491 0.8176 0.8954  7 O 2.21-2.42
Er 0.1824 0.1509 0.6046  7 O 2.21-2.42
S 0.7079 0.2921 0.2500  4 O 1.49-1.50
S 0.2921 0.7079 0.7500  4 O 1.49-1.50
S 0.2394 0.1906 0.9104  4 O 1.48-1.49
S 0.8094 0.7606 0.5896  4 O 1.48-1.49
S 0.7606 0.8094 0.0896  4 O 1.48-1.49
S 0.1906 0.2394 0.4104  4 O 1.48-1.49
O 0.3162 0.3676 0.0709  1 O 2.11, 1 Er 2.34
O 0.6324 0.6838 0.4291  1 O 2.11, 1 Er 2.34
O 0.6838 0.6324 0.9291  1 O 2.11, 1 Er 2.34
O 0.3676 0.3162 0.5709  1 O 2.11, 1 Er 2.34
O 0.8583 0.2046 0.0673  1 O 2.25, 1 Er 2.29
O 0.7954 0.1417 0.4327  1 O 2.25, 1 Er 2.29
O 0.1417 0.7954 0.9327  1 O 2.25, 1 Er 2.29
O 0.2046 0.8583 0.5673  1 O 2.25, 1 Er 2.29
O 0.1150 0.8782 0.1312  2 O 2.16-2.25, 1 Er 2.42
O 0.1218 0.8850 0.3688  2 O 2.16-2.25, 1 Er 2.42
O 0.8850 0.1218 0.8688  2 O 2.16-2.25, 1 Er 2.42
O 0.8782 0.1150 0.6312  2 O 2.16-2.25, 1 Er 2.42
O 0.3441 0.2554 0.1835  2 O 2.11-2.18
O 0.7446 0.6559 0.3165  2 O 2.11-2.18
O 0.6559 0.7446 0.8165  2 O 2.11-2.18
O 0.2554 0.3441 0.6835  2 O 2.11-2.18
O 0.5263 0.3874 0.1983  1 S 1.50
O 0.6126 0.4737 0.3017  1 S 1.50
O 0.4737 0.6126 0.8017  1 S 1.50
O 0.3874 0.5263 0.6983  1 S 1.50
O 0.9213 0.2386 0.2092  1 S 1.49
O 0.7614 0.0787 0.2908  1 S 1.49
O 0.0787 0.7614 0.7908  1 S 1.49
O 0.2386 0.9213 0.7092  1 S 1.49
O 0.2293 0.0931 0.9856  1 S 1.48
O 0.9069 0.7707 0.5144  1 S 1.48
O 0.7707 0.9069 0.0144  1 S 1.48
O 0.0931 0.2293 0.4856  1 S 1.48
O 0.9150 0.5571 0.0893  1 S 1.49
O 0.4429 0.0850 0.4107  1 S 1.49
O 0.0850 0.4429 0.9107  1 S 1.49
O 0.5571 0.9150 0.5893  1 S 1.49
O 0.5264 0.8809 0.1124  1 S 1.49
O 0.1191 0.4736 0.3876  1 S 1.49
O 0.4736 0.1191 0.8876  1 S 1.49
O 0.8809 0.5264 0.6124  1 S 1.49
O 0.1826 0.1131 0.8535  1 S 1.49
O 0.8869 0.8174 0.6465  1 S 1.49
O 0.8174 0.8869 0.1465  1 S 1.49
O 0.1131 0.1826 0.3535  1 S 1.49

---

| no. | E_tot (eV/atom) |
| --- | --- |
| 1 | -4.100 |
| 2 | -5.422 |